(1)
A relaxed structure of Mn3OF6, computed with PBE+U.

Geometry as extended XYZ:
```
20
Lattice="6.6218 0.2217 -0.1116 -0.7156 5.9017 0.1014 2.9289 -2.0746 7.2409" Properties=species:S:1:pos:R:3 pbc="T T T"
Mn 1.8003 2.0203 0.4802
Mn 2.5908 3.8971 5.7362
Mn 3.3306 3.9687 2.5770
Mn 5.5045 0.0802 4.6536
Mn 6.2443 0.1518 1.4944
Mn 7.0348 2.0285 6.7504
O 3.8417 5.1384 1.1186
O 4.9934 -1.0896 6.1120
F 2.4480 2.4801 7.2824
F 1.5366 3.3651 1.8825
F 1.5117 0.5104 1.7782
F 3.1991 2.7926 4.1156
F 3.5889 -0.5315 4.0206
F 3.8070 2.5619 0.9099
F 5.0282 1.4869 6.3208
F 5.2462 4.5804 3.2101
F 5.6361 1.2562 3.1151
F 7.3235 3.5384 5.4525
F 7.2986 0.6838 5.3481
F 6.3872 1.5688 -0.0518
```

Computed properties:
Magnetization   26.003 μB per cell
Space group   No. 2
Formation energy   -2611 meV/atom
Distance to the lowest polymorph of the same formula   23 meV per atom
Total energy   -6.157 eV per atom

(2)
A relaxed structure of Li7Mn8B8O24, computed with PBE+U.

Geometry as extended XYZ:
```
47
Lattice="-3.4621 3.4468 2.0429 1.8409 -3.0892 8.2928 8.1435 7.1866 -4.0092" Properties=species:S:1:pos:R:3 pbc="T T T"
Li -1.7398 4.1081 1.7771
Li 1.7797 3.7761 6.0067
Li 0.9123 0.8676 4.8984
Li 6.0483 7.2360 1.3595
Li 2.5575 3.6529 0.8009
Li 5.4603 4.3077 0.6653
Li 8.8106 4.0899 4.5210
Mn -0.7700 1.7839 7.3135
Mn 0.8497 4.6199 3.1868
Mn 3.0486 6.4200 -0.0853
Mn 0.1137 1.6710 2.1779
Mn 6.3761 5.9847 4.1923
Mn 3.4215 1.2909 6.2373
Mn 5.9042 3.0042 3.3110
Mn 7.3464 5.8534 -0.9999
B -1.3630 2.7538 4.5350
B 0.1078 5.6435 0.3544
B 3.7521 5.2528 2.7443
B 1.2720 -0.4786 7.6876
B 5.1964 8.0559 -1.3826
B 2.7931 2.3234 3.4950
B 6.4347 1.8296 6.0481
B 7.8594 4.7863 1.7869
O -0.2426 5.6051 1.6794
O 1.0654 3.0254 7.6786
O -0.8888 3.1598 3.2922
O 3.1391 5.0797 6.7613
O -0.7961 1.6845 5.2041
O 2.6315 5.9193 3.2863
O 0.1670 0.1548 8.2485
O 5.5487 7.7005 3.2452
O 1.3813 5.1881 -0.0782
O 6.3804 5.9561 6.2617
O 2.3443 2.3168 4.8044
O 4.6986 7.6081 -0.1054
O 1.9740 2.9022 2.5108
O 4.7327 4.7463 3.5725
O 3.8396 5.0922 1.3665
O 1.7175 -0.1193 6.4060
O 0.0937 1.6240 0.1032
O 5.2728 2.3980 6.5486
O 0.9884 -0.0500 3.0663
O 6.3667 7.4808 -1.8665
O 4.0020 1.7189 3.1559
O 7.0067 5.5753 1.0367
O 7.5566 4.5035 3.1214
O 5.5454 4.4715 -1.3008
```

Computed properties:
Magnetization   39.001 μB per cell
Space group   No. 1
Formation energy   -2485 meV/atom
Total energy   -7.357 eV per atom

(3)
A relaxed structure of Mo6NO18, computed with PBE+U.

Geometry as extended XYZ:
```
25
Lattice="5.4553 -9.4489 0.0000 5.4553 9.4489 0.0000 0.0000 0.0000 3.7893" Properties=species:S:1:pos:R:3 pbc="T T T"
Mo 3.0747 3.3496 0.9475
Mo 6.8187 5.1113 0.9475
Mo 6.4724 0.9880 0.9475
Mo 7.8365 -3.3490 2.8419
Mo 4.0920 -5.1121 2.8419
Mo 4.4374 -0.9877 2.8419
N 0.0000 0.0000 1.4974
O 5.1120 4.7387 0.9473
O 7.0032 2.6524 0.9473
O 4.2508 2.0578 0.9473
O 5.7984 -4.7387 2.8420
O 3.9076 -2.6523 2.8420
O 6.6599 -2.0579 2.8420
O 7.7684 -3.9760 0.9473
O 3.5831 -4.7396 0.9473
O 5.0144 -0.7332 0.9473
O 3.1423 3.9761 2.8420
O 7.3276 4.7395 2.8420
O 5.8961 0.7332 2.8420
O 1.5856 2.5276 0.9466
O 6.8515 6.8119 0.9466
O 7.9288 0.1093 0.9466
O 9.3253 -2.5262 2.8425
O 4.0601 -6.8129 2.8425
O 2.9804 -0.1098 2.8425
```

Computed properties:
Magnetization   3.002 μB per cell
Space group   No. 143
Formation energy   -1594 meV/atom
Total energy   -6.830 eV per atom